Record 1
Compound: Na2LaGaP2SO12
Source: Materials Project
Functional: PBE
Structure: optimized geometry

Its formation energy is -2.63 eV per atom. The symmetry is P1. For the total moment, the calculation gives 0.00 μB per formula unit.

a b c (Å): 9.0462 9.0446 23.2559
angles (deg): 91.16 89.11 120.32
With the nearest neighbours (Å) after each atom.
Atoms (fractional coordinates):
O1 0.1164 0.4490 0.9767  1 P 1.55
O2 0.1154 0.6461 0.3586  1 P 1.55
O3 0.5477 0.6653 0.9690  1 S 1.47
O4 0.6580 0.1079 0.0403  1 S 1.48
O5 0.4831 0.3102 0.7327  1 P 1.55
O6 0.9992 0.8075 0.6918  1 S 1.47
O7 0.5610 0.6842 0.8647  1 S 1.48
O8 0.1514 0.4611 0.8682  1 P 1.54
O9 0.9957 0.8302 0.4018  1 P 1.57
O10 0.5157 0.8722 0.1046  1 S 1.47
O11 0.4813 0.3324 0.1402  1 P 1.55
O12 0.6713 0.1584 0.1447  1 S 1.47
O13 0.1791 0.1825 0.3996  1 S 1.48
O14 0.8358 0.5161 0.7311  1 S 1.47
O15 0.4660 0.1700 0.5291  1 P 1.55
O16 0.4831 0.1391 0.6379  1 P 1.54
O17 0.0394 0.2641 0.1948  1 P 1.55
O18 0.8582 0.3422 0.9094  1 P 1.53
O19 0.1461 0.6862 0.7364  1 S 1.49
O20 0.6435 0.5063 0.9108  1 S 1.48
O21 0.8464 0.3060 0.5299  1 S 1.49
O22 0.8703 0.5322 0.0399  1 P 1.53
O23 0.1682 0.9915 0.9156  1 P 1.54
O24 0.8187 0.8155 0.9214  1 S 1.47
O25 0.9562 0.1628 0.5840  1 S 1.49
O26 0.1309 0.7122 0.4655  1 P 1.54
O27 0.1931 0.0362 0.5877  1 P 1.56
O28 0.2126 0.0200 0.3038  1 S 1.48
O29 0.5034 0.6661 0.2723  1 P 1.53
O30 0.3152 0.4639 0.7352  1 P 1.53
O31 0.3585 0.5000 0.0947  1 P 1.55
O32 0.1157 0.4724 0.5830  1 S 1.47
O33 0.6506 0.1517 0.4261  1 P 1.56
O34 0.5816 0.8668 0.4722  1 P 1.55
O35 0.4847 0.1620 0.9061  1 P 1.55
O36 0.7003 0.5433 0.5239  1 P 1.57
O37 0.1333 0.6329 0.0987  1 P 1.55
O38 0.9842 0.8064 0.0930  1 P 1.52
O39 0.8468 0.8115 0.5871  1 P 1.58
O40 0.8178 0.7833 0.3047  1 P 1.57
O41 0.8419 0.5100 0.4193  1 P 1.57
O42 0.5217 0.8615 0.7324  1 P 1.55
O43 0.6669 0.5167 0.6340  1 P 1.52
O44 0.7911 0.0323 0.7908  1 P 1.54
O45 0.8134 0.9931 0.4018  1 P 1.56
O46 0.1618 0.4922 0.2693  1 P 1.56
O47 0.5041 0.8711 0.3686  1 P 1.55
O48 0.2895 0.4137 0.4674  1 S 1.47
O49 0.3314 0.8435 0.2680  1 S 1.49
O50 0.3427 0.8841 0.9614  1 P 1.54
O51 0.1888 0.1805 0.0921  1 P 1.55
O52 0.8426 0.3333 0.2536  1 P 1.56
O53 0.3603 0.4818 0.3668  1 S 1.49
O54 0.3651 0.8847 0.5784  1 P 1.56
O55 0.7389 0.7875 0.2005  1 P 1.53
O56 0.4888 0.3502 0.4178  1 S 1.50
O57 0.6708 0.5114 0.2501  1 P 1.58
O58 0.2164 0.9503 0.2027  1 S 1.48
O59 0.8051 0.9947 0.6817  1 P 1.55
O60 0.3283 0.8874 0.8514  1 P 1.54
O61 0.1750 0.1676 0.6925  1 P 1.54
O62 0.8541 0.3336 0.6350  1 S 1.46
O63 0.2422 0.2072 0.7982  1 P 1.55
O64 0.8261 0.0379 0.0962  1 S 1.48
O65 0.8604 0.5277 0.1504  1 P 1.56
O66 0.0203 0.1838 0.9204  1 P 1.54
O67 0.4453 0.3294 0.0300  1 P 1.54
O68 0.9639 0.7530 0.7946  1 S 1.47
O69 0.9775 0.1717 0.2985  1 P 1.56
O70 0.6877 0.1806 0.7302  1 P 1.56
O71 0.4822 0.1525 0.2513  1 S 1.48
O72 0.5277 0.6519 0.5805  1 P 1.56
Na1 0.6634 0.9534 0.5894  5 O 2.36-2.56
Na2 0.0421 0.3384 0.0958  5 O 2.36-2.47
Na3 0.6939 0.6687 0.4175  4 O 2.38-2.60
Na4 0.3403 0.6392 0.6612  3 O 2.29-2.47
Na5 0.3258 0.3037 0.9208  4 O 2.38-2.52
Na6 0.3607 0.6597 0.1784  3 O 2.39-2.54
Na7 0.6925 0.3235 0.8284  3 O 2.38-2.59
Na8 0.9954 0.6348 0.2610  4 O 2.36-2.58
Na9 0.3722 0.0123 0.7437  4 O 2.37-2.61
Na10 0.0361 0.9990 0.4987  3 O 2.45-2.67
Na11 0.0123 0.9757 0.0023  4 O 2.41-2.68
Na12 0.6656 0.3047 0.3365  5 O 2.42-2.62
Ga1 0.0037 0.9930 0.6437  5 O 1.92-2.02
Ga2 0.6673 0.3308 0.4843  4 O 1.96-2.06
Ga3 0.9759 0.9972 0.3469  5 O 1.92-2.14
Ga4 0.6558 0.3353 0.6772  6 O 1.90-2.05
Ga5 0.6607 0.3567 0.1886  4 O 1.90-2.09
Ga6 0.3303 0.6680 0.3237  6 O 1.96-2.11
P1 0.3298 0.9775 0.9087  4 O 1.54-1.55
P2 0.0331 0.3606 0.9188  4 O 1.53-1.55
P3 0.3729 0.3367 0.0899  4 O 1.54-1.55
P4 0.0229 0.6739 0.4107  4 O 1.54-1.57
P5 0.7064 0.0190 0.7326  4 O 1.54-1.56
P6 0.9588 0.6267 0.0954  4 O 1.52-1.56
P7 0.6356 0.9738 0.4163  4 O 1.55-1.56
P8 0.6793 0.6893 0.2569  4 O 1.53-1.58
P9 0.6846 0.6252 0.5821  4 O 1.52-1.58
P10 0.3020 0.2888 0.7380  4 O 1.53-1.55
P11 0.0034 0.3127 0.2553  4 O 1.55-1.56
P12 0.3766 0.0622 0.5830  4 O 1.54-1.56
S1 0.9834 0.6902 0.7376  4 O 1.47-1.49
S2 0.3265 0.3546 0.4124  4 O 1.47-1.50
S3 0.6437 0.6697 0.9168  4 O 1.47-1.48
S4 0.3128 0.9957 0.2575  4 O 1.48-1.49
S5 0.6658 0.0441 0.0977  4 O 1.47-1.48
S6 0.9423 0.3205 0.5835  4 O 1.46-1.49
La1 0.9884 0.0042 0.8415  6 O 2.27-2.47
La2 0.3383 0.6620 0.8069  6 O 2.26-2.50
La3 0.3212 0.6678 0.5134  6 O 2.27-2.51
La4 0.6696 0.3236 0.9836  6 O 2.25-2.48
La5 0.0033 0.9990 0.1658  6 O 2.33-2.45
La6 0.3334 0.6878 0.0242  6 O 2.29-2.49



Record 2
Compound: Pr7Br3O18
Source: Materials Project
Functional: PBE
Structure: optimized geometry

Its formation energy is -1.86 eV per atom. The symmetry is P6_3/m. For the total moment, the calculation gives 5.99 μB per formula unit.

a b c (Å): 15.9125 15.9125 4.3787
angles (deg): 90.00 90.00 120.00
With the nearest neighbours (Å) after each atom.
Atoms (fractional coordinates):
Pr1 0.3466 0.4592 0.2500  6 O 2.39-2.51
Pr2 0.8470 0.7402 0.2500  9 O 2.47-2.62
Pr3 0.1068 0.8470 0.7500  9 O 2.47-2.62
Pr4 0.3333 0.6667 0.7500  9 O 2.49-2.55
Pr5 0.6667 0.3333 0.2500  9 O 2.49-2.55
Pr6 0.4592 0.1126 0.7500  6 O 2.39-2.51
Pr7 0.5408 0.8874 0.2500  6 O 2.39-2.51
Pr8 0.7402 0.8932 0.7500  9 O 2.47-2.62
Pr9 0.1530 0.2598 0.7500  9 O 2.47-2.62
Pr10 0.1126 0.6534 0.2500  6 O 2.39-2.51
Pr11 0.8874 0.3466 0.7500  6 O 2.39-2.51
Pr12 0.8932 0.1530 0.2500  9 O 2.47-2.62
Pr13 0.6534 0.5408 0.7500  6 O 2.39-2.51
Pr14 0.2598 0.1068 0.2500  9 O 2.47-2.62
O1 0.7199 0.4280 0.7500  2 O 2.27, 1 Pr 2.50
O2 0.7225 0.9733 0.2500  1 O 1.46
O3 0.7492 0.7225 0.7500  1 O 1.46
O4 0.9740 0.1593 0.7500  1 O 1.46
O5 0.8407 0.8147 0.7500  1 O 1.46
O6 0.9219 0.7346 0.7500  1 O 2.22
O7 0.2775 0.0267 0.7500  1 O 1.46
O8 0.8127 0.0781 0.7500  1 O 2.22
O9 0.4746 0.8354 0.7500  1 O 1.50
O10 0.2918 0.7199 0.2500  2 O 2.27, 1 Pr 2.50
O11 0.5254 0.1646 0.2500  1 O 1.50
O12 0.2508 0.2775 0.2500  1 O 1.46
O13 0.1593 0.1853 0.2500  1 O 1.46
O14 0.7386 0.5622 0.2500  1 O 1.50
O15 0.9733 0.2508 0.7500  1 O 1.46
O16 0.1646 0.6392 0.7500  1 O 1.50
O17 0.1873 0.9219 0.2500  1 O 2.22
O18 0.5720 0.2918 0.7500  2 O 2.27, 1 Pr 2.50
O19 0.2614 0.4378 0.7500  1 O 1.50
O20 0.4378 0.1763 0.2500  1 O 1.50
O21 0.4280 0.7082 0.2500  2 O 2.27, 1 Pr 2.50
O22 0.0260 0.8407 0.2500  1 O 1.46
O23 0.1853 0.0260 0.7500  1 O 1.46
O24 0.8237 0.2614 0.2500  1 O 1.50
O25 0.5622 0.8237 0.7500  1 O 1.50
O26 0.1763 0.7386 0.7500  1 O 1.50
O27 0.6392 0.4746 0.2500  1 O 1.50
O28 0.3608 0.5254 0.7500  1 O 1.50
O29 0.0781 0.2654 0.2500  1 O 2.22
O30 0.8354 0.3608 0.2500  1 O 1.50
O31 0.7346 0.8127 0.2500  1 O 2.22
O32 0.2654 0.1873 0.7500  1 O 2.22
O33 0.0267 0.7492 0.2500  1 O 1.46
O34 0.8147 0.9740 0.2500  1 O 1.46
O35 0.2801 0.5720 0.2500  2 O 2.27, 1 Pr 2.50
O36 0.7082 0.2801 0.7500  2 O 2.27, 1 Pr 2.50
Br1 0.6179 0.0620 0.7500  3 O 2.98-3.16, 3 Pr 3.01-3.26
Br2 0.3821 0.9380 0.2500  3 O 2.98-3.16, 3 Pr 3.01-3.26
Br3 0.9380 0.5558 0.7500  3 O 2.98-3.16, 3 Pr 3.01-3.26
Br4 0.0620 0.4442 0.2500  3 O 2.98-3.16, 3 Pr 3.01-3.26
Br5 0.5558 0.6179 0.2500  3 O 2.98-3.16, 3 Pr 3.01-3.26
Br6 0.4442 0.3821 0.7500  3 O 2.98-3.16, 3 Pr 3.01-3.26



Record 3
Compound: Al2Cu3O6
Source: Materials Project
Functional: PBE
Structure: optimized geometry

Its formation energy is -1.76 eV per atom. The calculation puts the excess energy over the best structure of this formula in the dataset at 0.000 eV/atom. The symmetry is P2_1. For the total moment, the calculation gives 2.97 μB per formula unit.

a b c (Å): 11.3398 2.8654 7.7995
angles (deg): 79.50 90.00 90.00
With the nearest neighbours (Å) after each atom.
Atoms (fractional coordinates):
O1 0.0845 0.1163 0.7733  1 Cu 1.82, 3 Al 1.95-2.02
O2 0.3986 0.0951 0.8033  1 Cu 1.74, 1 Al 1.87
O3 0.9157 0.5584 0.8913  1 Cu 1.83, 3 Al 1.96-1.99
O4 0.5986 0.2363 0.5286  1 Cu 1.73, 1 Al 1.86
O5 0.5956 0.5373 0.9161  1 Cu 1.80, 2 Al 1.87
O6 0.4050 0.7884 0.4166  1 Cu 1.77, 2 Al 1.86-1.87
O7 0.0956 0.4627 0.0839  1 Cu 1.80, 2 Al 1.87
O8 0.0986 0.7637 0.4714  1 Cu 1.73, 1 Al 1.86
O9 0.4157 0.4416 0.1087  1 Cu 1.83, 3 Al 1.96-1.99
O10 0.9050 0.2116 0.5834  1 Cu 1.77, 2 Al 1.86-1.87
O11 0.5845 0.8837 0.2267  1 Cu 1.82, 3 Al 1.95-2.02
O12 0.8986 0.9049 0.1967  1 Cu 1.74, 1 Al 1.87
Al1 0.0033 0.9998 0.0079  6 O 1.87-2.02
Al2 0.9964 0.6713 0.6609  6 O 1.86-1.99
Al3 0.4964 0.3287 0.3391  6 O 1.86-1.99
Al4 0.5033 0.0002 0.9921  6 O 1.87-2.02
Cu1 0.7541 0.5478 0.9022  2 O 1.80-1.83
Cu2 0.7451 0.8957 0.2118  2 O 1.74-1.82
Cu3 0.2451 0.1043 0.7882  2 O 1.74-1.82
Cu4 0.2495 0.7814 0.4406  2 O 1.73-1.77
Cu5 0.2541 0.4522 0.0978  2 O 1.80-1.83
Cu6 0.7495 0.2186 0.5594  2 O 1.73-1.77



Record 4
Compound: TlC4S4N
Source: Materials Project
Functional: PBE
Structure: optimized geometry

Its formation energy is 1.05 eV per atom. The calculation puts the excess energy over the best structure of this formula in the dataset at 0.756 eV/atom. The symmetry is P-1. For the total moment, the calculation gives 0.00 μB per formula unit.

a b c (Å): 7.4240 9.2152 10.0950
angles (deg): 116.83 91.98 99.09
With the nearest neighbours (Å) after each atom.
Atoms (fractional coordinates):
S1 0.7966 0.6700 0.6089  1 S 1.85
S2 0.3522 0.1795 0.3714  1 S 1.85
S3 0.6478 0.8205 0.6286  1 S 1.85
S4 0.5884 0.0557 0.1922  1 C 1.86
S5 0.3513 0.3773 0.6289  1 C 1.62
S6 0.2034 0.3300 0.3911  1 S 1.85
S7 0.6487 0.6227 0.3711  1 C 1.62
S8 0.4116 0.9443 0.8078  1 C 1.86
N1 0.8736 0.6799 0.1581  2 C 1.35-1.44
N2 0.1264 0.3201 0.8419  2 C 1.35-1.44
Tl1 0.2351 0.8328 0.5622  1 S 2.44
Tl2 0.7649 0.1672 0.4378  1 S 2.44
C1 0.0134 0.2691 0.9318  1 N 1.44, 1 C 1.52
C2 0.1110 0.7924 0.9798  2 C 1.52
C3 0.9866 0.7309 0.0682  1 N 1.44, 1 C 1.52
C4 0.7518 0.6436 0.2404  1 N 1.35
C5 0.7548 0.1393 0.0979  1 C 1.52
C6 0.2482 0.3564 0.7596  1 N 1.35
C7 0.2452 0.8607 0.9021  1 C 1.52
C8 0.8890 0.2076 0.0202  2 C 1.52



| no. | MP2020-corrected energy (eV for the cell shown) |
| --- | --- |
| 1 | -809.94 |
| 2 | -359.06 |
| 3 | -137.63 |
| 4 | -107.39 |